[1]
DFT (r2SCAN) results for NbVB4 after structural relaxation.

Cell lengths 3.0551, 3.0551, 6.3630 Å; angles 90.00, 90.00, 120.00 degrees
Space group P6/mmm (No. 191)
Symmetry-distinct sites (fractional):
Nb 0.0000 0.0000 0.0000
V 0.0000 0.0000 0.5000
B 0.3333 0.6667 0.2659

## Properties
- energy of formation (eV per atom) = -0.720
- electronic total energy (eV for the cell shown) = -72.529

=====

[2]
DFT (r2SCAN) results for NbB2W after structural relaxation.

Cell lengths 3.129, 3.231, 8.635 Å; angles 90.00, 90.00, 90.00 degrees
Space group Amm2 (No. 38)
Symmetry-distinct sites (fractional):
Nb 0.000 0.000 0.000
B 0.000 0.000 0.708
B 0.500 0.000 0.590
W 0.500 0.000 0.290

## Properties
- energy of formation (eV per atom) = -0.594
- electronic total energy (eV for the cell shown) = -186.343

=====

Number 1: total magnetic moment 0.00 μB/cell. Number 2: total magnetic moment 0.00 μB/cell.